1.
Computed, not measured: a relaxed KAl2Si4O12 crystal at the PBE level of DFT.

The value obtained for the formation energy is -3.107 eV/atom. Its space group is C2/c, No. 15.

Lattice parameters (Å, degrees): 5.221 5.221 20.153 92.59 92.59 120.21
Atoms (fractional coordinates):
K1 0.100 0.900 0.750
K2 0.900 0.100 0.250
Al1 0.162 0.325 0.000
Al2 0.325 0.162 0.500
Al3 0.675 0.838 0.500
Al4 0.838 0.675 0.000
Si1 0.193 0.709 0.133
Si2 0.291 0.807 0.367
Si3 0.394 0.535 0.633
Si4 0.465 0.606 0.867
Si5 0.535 0.394 0.133
Si6 0.606 0.465 0.367
Si7 0.709 0.193 0.633
Si8 0.807 0.291 0.867
O1 0.017 0.923 0.549
O2 0.061 0.418 0.658
O3 0.077 0.983 0.951
O4 0.121 0.397 0.832
O5 0.136 0.626 0.053
O6 0.340 0.526 0.168
O7 0.374 0.864 0.447
O8 0.397 0.121 0.332
O9 0.414 0.530 0.553
O10 0.418 0.061 0.158
O11 0.470 0.586 0.947
O12 0.474 0.660 0.332
O13 0.526 0.340 0.668
O14 0.530 0.414 0.053
O15 0.582 0.939 0.842
O16 0.586 0.470 0.447
O17 0.603 0.879 0.668
O18 0.626 0.136 0.553
O19 0.660 0.474 0.832
O20 0.864 0.374 0.947
O21 0.879 0.603 0.168
O22 0.923 0.017 0.049
O23 0.939 0.582 0.342
O24 0.983 0.077 0.451

=====

2.
Computed, not measured: a relaxed KAlSiO4 crystal at the PBE level of DFT.

The largest piezoelectric modulus is 0.46 C/m2. The value obtained for the formation energy is -3.187 eV/atom. The value obtained for the polymorph energy (0 for the lowest one) is 2 meV per atom. Its space group is P6_3, No. 173.

Lattice parameters (Å, degrees): 5.229 5.229 8.860 90.00 90.00 120.00
Atoms (fractional coordinates):
K1 0.000 0.000 0.000
K2 0.000 0.000 0.500
Al1 0.333 0.667 0.306
Al2 0.667 0.333 0.806
Si1 0.333 0.667 0.688
Si2 0.667 0.333 0.188
O1 0.015 0.396 0.747
O2 0.333 0.667 0.504
O3 0.382 0.985 0.747
O4 0.396 0.382 0.247
O5 0.604 0.618 0.747
O6 0.618 0.015 0.247
O7 0.667 0.333 0.004
O8 0.985 0.604 0.247

=====

3.
Computed, not measured: a relaxed KAlSi2O6 crystal at the PBE level of DFT.

The value obtained for the formation energy is -3.200 eV/atom. The value obtained for the polymorph energy (0 for the lowest one) is 23 meV per atom. Its space group is C222_1, No. 20.

Lattice parameters (Å, degrees): 7.518 7.518 10.283 90.00 90.00 91.95
Atoms (fractional coordinates):
K1 0.204 0.796 0.750
K2 0.296 0.296 0.000
K3 0.704 0.704 0.500
K4 0.796 0.204 0.250
Al1 0.142 0.643 0.435
Al2 0.357 0.858 0.065
Al3 0.643 0.142 0.565
Al4 0.858 0.357 0.935
Si1 0.058 0.058 0.500
Si2 0.141 0.363 0.685
Si3 0.363 0.141 0.315
Si4 0.444 0.556 0.250
Si5 0.556 0.444 0.750
Si6 0.637 0.859 0.815
Si7 0.859 0.637 0.185
Si8 0.942 0.942 0.000
O1 0.007 0.391 0.807
O2 0.093 0.847 0.511
O3 0.106 0.495 0.566
O4 0.140 0.154 0.634
O5 0.153 0.907 0.989
O6 0.154 0.140 0.366
O7 0.338 0.409 0.753
O8 0.364 0.635 0.117
O9 0.365 0.636 0.383
O10 0.391 0.007 0.193
O11 0.409 0.338 0.247
O12 0.495 0.106 0.434
O13 0.505 0.894 0.934
O14 0.591 0.662 0.747
O15 0.609 0.993 0.693
O16 0.635 0.364 0.883
O17 0.636 0.365 0.617
O18 0.662 0.591 0.253
O19 0.846 0.860 0.866
O20 0.847 0.093 0.489
O21 0.860 0.846 0.134
O22 0.894 0.505 0.066
O23 0.907 0.153 0.011
O24 0.993 0.609 0.307

=====

4.
Computed, not measured: a relaxed KAlSi3O8 crystal at the PBE level of DFT.

The value obtained for the formation energy is -3.242 eV/atom. The value obtained for the polymorph energy (0 for the lowest one) is 4 meV per atom. Its space group is P-1, No. 2.

Lattice parameters (Å, degrees): 7.222 7.943 7.996 113.04 104.72 103.97
Atoms (fractional coordinates):
K1 0.136 0.288 0.291
K2 0.864 0.712 0.709
Al1 0.342 0.833 0.594
Al2 0.658 0.167 0.406
Si1 0.219 0.812 0.192
Si2 0.223 0.198 0.821
Si3 0.338 0.596 0.833
Si4 0.662 0.404 0.167
Si5 0.777 0.802 0.179
Si6 0.781 0.188 0.808
O1 0.012 0.173 0.866
O2 0.205 0.983 0.673
O3 0.213 0.668 0.975
O4 0.254 0.714 0.335
O5 0.264 0.354 0.734
O6 0.276 0.639 0.650
O7 0.389 0.035 0.288
O8 0.411 0.297 0.040
O9 0.589 0.703 0.960
O10 0.611 0.965 0.712
O11 0.724 0.361 0.350
O12 0.736 0.646 0.266
O13 0.746 0.286 0.665
O14 0.787 0.332 0.025
O15 0.795 0.017 0.327
O16 0.988 0.827 0.134

=====

5.
Computed, not measured: a relaxed KAlSiO4 crystal at the PBE level of DFT.

The value obtained for the formation energy is -2.833 eV/atom. The value obtained for the polymorph energy (0 for the lowest one) is 356 meV per atom. Its space group is P3, No. 143.

Lattice parameters (Å, degrees): 5.163 5.163 5.184 90.00 90.00 120.00
Atoms (fractional coordinates):
K1 0.000 0.000 0.000
Al1 0.667 0.333 0.465
Si1 0.333 0.667 0.584
O1 0.018 0.632 0.462
O2 0.333 0.667 0.891
O3 0.368 0.386 0.462
O4 0.614 0.982 0.462

=====

6.
Computed, not measured: a relaxed KAlSi3O8 crystal at the PBE level of DFT.

The value obtained for the formation energy is -3.240 eV/atom. The value obtained for the polymorph energy (0 for the lowest one) is 7 meV per atom. Its space group is C2, No. 5.

Lattice parameters (Å, degrees): 7.963 7.963 7.230 103.86 103.86 113.54
Atoms (fractional coordinates):
K1 0.211 0.211 0.361
K2 0.789 0.789 0.639
Al1 0.322 0.099 0.843
Al2 0.901 0.678 0.157
Si1 0.090 0.340 0.845
Si2 0.297 0.686 0.278
Si3 0.314 0.703 0.722
Si4 0.660 0.910 0.155
Si5 0.664 0.307 0.274
Si6 0.693 0.336 0.726
O1 0.126 0.153 0.784
O2 0.161 0.789 0.251
O3 0.183 0.486 0.728
O4 0.190 0.462 0.097
O5 0.211 0.839 0.749
O6 0.347 0.653 0.500
O7 0.440 0.203 0.111
O8 0.483 0.187 0.721
O9 0.514 0.817 0.272
O10 0.538 0.810 0.903
O11 0.647 0.353 0.500
O12 0.753 0.151 0.237
O13 0.797 0.560 0.889
O14 0.813 0.517 0.279
O15 0.847 0.874 0.216
O16 0.849 0.247 0.763

=====

Repeat the first record exactly.
Computed, not measured: a relaxed KAl2Si4O12 crystal at the PBE level of DFT.

The value obtained for the formation energy is -3.107 eV/atom. Its space group is C2/c, No. 15.

Lattice parameters (Å, degrees): 5.221 5.221 20.153 92.59 92.59 120.21
Atoms (fractional coordinates):
K1 0.100 0.900 0.750
K2 0.900 0.100 0.250
Al1 0.162 0.325 0.000
Al2 0.325 0.162 0.500
Al3 0.675 0.838 0.500
Al4 0.838 0.675 0.000
Si1 0.193 0.709 0.133
Si2 0.291 0.807 0.367
Si3 0.394 0.535 0.633
Si4 0.465 0.606 0.867
Si5 0.535 0.394 0.133
Si6 0.606 0.465 0.367
Si7 0.709 0.193 0.633
Si8 0.807 0.291 0.867
O1 0.017 0.923 0.549
O2 0.061 0.418 0.658
O3 0.077 0.983 0.951
O4 0.121 0.397 0.832
O5 0.136 0.626 0.053
O6 0.340 0.526 0.168
O7 0.374 0.864 0.447
O8 0.397 0.121 0.332
O9 0.414 0.530 0.553
O10 0.418 0.061 0.158
O11 0.470 0.586 0.947
O12 0.474 0.660 0.332
O13 0.526 0.340 0.668
O14 0.530 0.414 0.053
O15 0.582 0.939 0.842
O16 0.586 0.470 0.447
O17 0.603 0.879 0.668
O18 0.626 0.136 0.553
O19 0.660 0.474 0.832
O20 0.864 0.374 0.947
O21 0.879 0.603 0.168
O22 0.923 0.017 0.049
O23 0.939 0.582 0.342
O24 0.983 0.077 0.451

=====

Question: What is the formula in the second record?
Answer: KAlSiO4